Material: Sr10MnRu4O20
Method: DFT, PBE with a Hubbard U
State: relaxed

Values from the calculation:
The volume is 491.4 Å³/cell. Its energy is -234.81 eV per cell.

a b c (Å): 3.9192 3.9192 32.1124
angles (deg): 86.50 86.50 90.00
Last column: nearest neighbours and their distance in Å.
Fractional coordinates of all 35 atoms:
Sr 0.4726 0.4726 0.0549  9 O 2.58-2.78
Sr 0.0693 0.0693 0.8613  1 O 2.42
Sr 0.9307 0.9307 0.1387  1 O 2.42
Sr 0.5274 0.5274 0.9451  9 O 2.58-2.78
Sr 0.1292 0.1292 0.7416  5 O 2.44-2.70
Sr 0.2706 0.2706 0.4588  5 O 2.43-2.72
Sr 0.6705 0.6705 0.6590  5 O 2.43-2.72
Sr 0.8708 0.8708 0.2584  5 O 2.44-2.70
Sr 0.3295 0.3295 0.3410  5 O 2.43-2.72
Sr 0.7294 0.7294 0.5412  5 O 2.43-2.72
Ru 0.8000 0.8000 0.4000  6 O 1.96-2.09
Ru 0.4002 0.4002 0.1996  6 O 1.96-2.10
Ru 0.5998 0.5998 0.8004  6 O 1.96-2.10
Ru 0.2000 0.2000 0.6000  6 O 1.96-2.09
Mn 0.0000 0.0000 0.0000  6 O 1.96-2.02
O 0.8999 0.3999 0.2003  2 Ru 1.96
O 0.0000 0.5000 0.0000  2 Mn 1.96
O 0.9685 0.9685 0.0630  1 Mn 2.02
O 0.5678 0.5678 0.8644  1 Ru 2.05
O 0.7674 0.7674 0.4652  1 Ru 2.09
O 0.5000 0.0000 0.0000  2 Mn 1.96
O 0.4322 0.4322 0.1356  1 Ru 2.05
O 0.0315 0.0315 0.9370  1 Mn 2.02
O 0.6325 0.6325 0.7349  1 Ru 2.10
O 0.7000 0.2000 0.6000  2 Ru 1.96
O 0.1001 0.6001 0.7997  2 Ru 1.96
O 0.3999 0.8999 0.2003  2 Ru 1.96
O 0.3000 0.8000 0.4000  2 Ru 1.96
O 0.1674 0.1674 0.6652  1 Ru 2.08
O 0.8326 0.8326 0.3348  1 Ru 2.08
O 0.6001 0.1001 0.7997  2 Ru 1.96
O 0.2000 0.7000 0.6000  2 Ru 1.96
O 0.3674 0.3674 0.2651  1 Ru 2.10
O 0.2326 0.2326 0.5348  1 Ru 2.09
O 0.8000 0.3000 0.4000  2 Ru 1.96